Compound: SbIr
Source: the Materials Project
Functional: GGA-PBE
Structure: optimized geometry

Structure (CIF):
```
data_SbIr
_symmetry_space_group_name_H-M 'P 63/m m c'
_symmetry_Int_Tables_number 194
_symmetry_space_group_name_Hall '-P 6c 2c'
_cell_length_a 4.0626
_cell_length_b 4.0626
_cell_length_c 5.5997
_cell_angle_alpha 90.00
_cell_angle_beta 90.00
_cell_angle_gamma 120.00
loop_
_atom_site_label
_atom_site_type_symbol
_atom_site_fract_x
_atom_site_fract_y
_atom_site_fract_z
Sb1 Sb 0.3333 0.6667 0.2500
Ir1 Ir 0.0000 0.0000 0.0000
```

## Properties
Volume: 20.01 Å³/atom
Theoretical density: 13.03 g/cm3
Energy of formation from the pure elements: -0.205 eV per atom